Entry from the Materials Project database: an optimized crystal structure of U2Tl2Mo3O16 (GGA+U).

Computed properties:
Energy ... -698.6 eV for the cell shown
ΔE_f ... -2445.3 meV per atom
Crystal system ... orthorhombic
V ... 1695 Å³/cell

a = 20.406 Å, b = 8.415 Å, c = 9.872 Å
α = 90.00°, β = 90.00°, γ = 90.00°
Space group Pna2_1 (No. 33)
Inequivalent atoms, fractional coordinates:
1 U 0.024 0.174 0.000 [4 per cell]
2 U 0.217 0.289 0.419 [4 per cell]
3 Tl 0.106 0.519 0.717 [4 per cell]
4 Tl 0.147 0.811 0.265 [4 per cell]
5 Mo 0.030 0.261 0.387 [4 per cell]
6 Mo 0.134 0.988 0.700 [4 per cell]
7 Mo 0.190 0.429 0.058 [4 per cell]
8 O 0.019 0.317 0.209 [4 per cell]
9 O 0.019 0.675 0.400 [4 per cell]
10 O 0.033 0.047 0.402 [4 per cell]
11 O 0.038 0.670 0.975 [4 per cell]
12 O 0.067 0.021 0.094 [4 per cell]
13 O 0.080 0.108 0.799 [4 per cell]
14 O 0.086 0.857 0.596 [4 per cell]
15 O 0.105 0.345 0.460 [4 per cell]
16 O 0.118 0.328 0.994 [4 per cell]
17 O 0.184 0.123 0.603 [4 per cell]
18 O 0.186 0.870 0.806 [4 per cell]
19 O 0.187 0.462 0.241 [4 per cell]
20 O 0.193 0.623 0.978 [4 per cell]
21 O 0.196 0.131 0.299 [4 per cell]
22 O 0.235 0.437 0.548 [4 per cell]
23 O 0.241 0.821 0.510 [4 per cell]